[1]
DFT (PBE-GGA) results for a geometry-optimized Sm14Ag51 structure.

Output
VASP energy (eV/atom): -3.49
SG: P-6, No. 174
Mass density (kg/m3): 9165
ΔH_f (0 K) (meV/atom): -246
Volume (Å³/cell): 1378.1

Cell: 12.9530 12.9530 9.4831 Å, 90.00 90.00 120.00°
With the nearest neighbours (Å) after each atom.
Fractional positions:
Sm: 0.0000 0.0000 0.1931  15 Ag 3.14-3.34
Sm: 0.0000 0.0000 0.8069  15 Ag 3.14-3.34
Sm: 0.1130 0.3847 0.5000  13 Ag 3.17-3.35
Sm: 0.1404 0.6716 0.0000  14 Ag 3.15-3.36
Sm: 0.2717 0.8870 0.5000  13 Ag 3.17-3.35
Sm: 0.3284 0.4687 0.0000  14 Ag 3.15-3.36
Sm: 0.4016 0.2833 0.5000  12 Ag 3.03-3.29
Sm: 0.4674 0.1386 0.0000  14 Ag 3.16-3.43
Sm: 0.5313 0.8596 0.0000  14 Ag 3.15-3.36
Sm: 0.6153 0.7283 0.5000  13 Ag 3.17-3.35
Sm: 0.6712 0.5326 0.0000  14 Ag 3.16-3.43
Sm: 0.7167 0.1183 0.5000  12 Ag 3.03-3.29
Sm: 0.8614 0.3288 0.0000  14 Ag 3.16-3.43
Sm: 0.8817 0.5984 0.5000  12 Ag 3.03-3.29
Ag: 0.0585 0.2374 0.0000  8 Ag 2.77-2.94
Ag: 0.0757 0.8065 0.2603  8 Ag 2.84-3.09, 2 Sm 3.17-3.18
Ag: 0.0757 0.8065 0.7397  8 Ag 2.84-3.09, 2 Sm 3.17-3.18
Ag: 0.1052 0.4383 0.1684  6 Ag 2.85-3.07, 2 Sm 3.15-3.17
Ag: 0.1052 0.4383 0.8316  6 Ag 2.85-3.07, 2 Sm 3.15-3.17
Ag: 0.1166 0.6202 0.3478  7 Ag 2.84-3.09
Ag: 0.1166 0.6202 0.6522  7 Ag 2.84-3.09
Ag: 0.1342 0.1155 0.5000  6 Ag 2.82-3.00, 1 Sm 3.03
Ag: 0.1789 0.9415 0.0000  8 Ag 2.77-2.94
Ag: 0.1935 0.2693 0.2603  8 Ag 2.84-3.09, 2 Sm 3.17-3.18
Ag: 0.1935 0.2693 0.7397  8 Ag 2.84-3.09, 2 Sm 3.17-3.18
Ag: 0.2385 0.1791 0.0000  8 Ag 2.77-2.97
Ag: 0.2651 0.0745 0.2662  8 Ag 2.83-3.11, 1 Sm 3.14
Ag: 0.2651 0.0745 0.7338  8 Ag 2.83-3.11, 1 Sm 3.14
Ag: 0.3333 0.6667 0.2006  7 Ag 2.84-2.97, 3 Sm 3.17
Ag: 0.3333 0.6667 0.5000  8 Ag 2.84-2.94
Ag: 0.3333 0.6667 0.7994  7 Ag 2.84-2.97, 3 Sm 3.17
Ag: 0.3331 0.8948 0.1684  6 Ag 2.85-3.07, 2 Sm 3.15-3.17
Ag: 0.3331 0.8948 0.8316  6 Ag 2.85-3.07, 2 Sm 3.15-3.17
Ag: 0.3798 0.4964 0.3478  7 Ag 2.84-3.09
Ag: 0.3798 0.4964 0.6522  7 Ag 2.84-3.09
Ag: 0.4394 0.3341 0.1675  7 Ag 2.85-3.18, 2 Sm 3.16-3.19
Ag: 0.4394 0.3341 0.8325  7 Ag 2.85-3.18, 2 Sm 3.16-3.19
Ag: 0.4932 0.1157 0.3470  7 Ag 2.83-3.08
Ag: 0.4932 0.1157 0.6530  7 Ag 2.83-3.08
Ag: 0.5036 0.8834 0.3478  7 Ag 2.84-3.09
Ag: 0.5036 0.8834 0.6522  7 Ag 2.84-3.09
Ag: 0.5617 0.6669 0.1684  6 Ag 2.85-3.07, 2 Sm 3.15-3.17
Ag: 0.5617 0.6669 0.8316  6 Ag 2.85-3.07, 2 Sm 3.15-3.17
Ag: 0.6225 0.5068 0.3470  7 Ag 2.83-3.08
Ag: 0.6225 0.5068 0.6530  7 Ag 2.83-3.08
Ag: 0.6659 0.1054 0.1675  7 Ag 2.85-3.18, 2 Sm 3.16-3.19
Ag: 0.6659 0.1054 0.8325  7 Ag 2.85-3.18, 2 Sm 3.16-3.19
Ag: 0.6667 0.3333 0.1998  7 Ag 2.85-2.96, 3 Sm 3.18
Ag: 0.6667 0.3333 0.5000  8 Ag 2.85-2.96, 3 Sm 3.16
Ag: 0.6667 0.3333 0.8002  7 Ag 2.85-2.96, 3 Sm 3.18
Ag: 0.7307 0.9243 0.2603  8 Ag 2.84-3.09, 2 Sm 3.17-3.18
Ag: 0.7307 0.9243 0.7397  8 Ag 2.84-3.09, 2 Sm 3.17-3.18
Ag: 0.7626 0.8211 0.0000  8 Ag 2.77-2.94
Ag: 0.8094 0.7349 0.2662  8 Ag 2.83-3.11, 1 Sm 3.14
Ag: 0.8094 0.7349 0.7338  8 Ag 2.83-3.11, 1 Sm 3.14
Ag: 0.8209 0.0594 0.0000  8 Ag 2.77-2.97
Ag: 0.8845 0.0187 0.5000  6 Ag 2.82-3.00, 1 Sm 3.03
Ag: 0.8843 0.3775 0.3470  7 Ag 2.83-3.08
Ag: 0.8843 0.3775 0.6530  7 Ag 2.83-3.08
Ag: 0.8946 0.5606 0.1675  7 Ag 2.85-3.18, 2 Sm 3.16-3.19
Ag: 0.8946 0.5606 0.8325  7 Ag 2.85-3.18, 2 Sm 3.16-3.19
Ag: 0.9255 0.1906 0.2662  8 Ag 2.83-3.11, 1 Sm 3.14
Ag: 0.9255 0.1906 0.7338  8 Ag 2.83-3.11, 1 Sm 3.14
Ag: 0.9406 0.7615 0.0000  8 Ag 2.77-2.97
Ag: 0.9813 0.8658 0.5000  6 Ag 2.82-3.00, 1 Sm 3.03

***

[2]
DFT (PBE-GGA) results for a geometry-optimized SmAgSn structure.

Output
VASP energy (eV/atom): -4.19
SG: P-3m1, No. 164
Mass density (kg/m3): 7992
ΔH_f (0 K) (meV/atom): -337
Volume (Å³/cell): 156.6

Cell: 4.8766 4.8766 7.6055 Å, 90.00 90.00 120.00°
With the nearest neighbours (Å) after each atom.
Fractional positions:
Sm: 0.0000 0.0000 0.2298  6 Ag 3.23-3.40, 3 Sn 3.25, 1 Sm 3.50
Sm: 0.0000 0.0000 0.7702  6 Ag 3.23-3.40, 3 Sn 3.25, 1 Sm 3.50
Ag: 0.3333 0.6667 0.9797  3 Ag 2.83
Ag: 0.6667 0.3333 0.0203  3 Ag 2.83
Sn: 0.3333 0.6667 0.5568  3 Sn 2.95, 1 Ag 3.22, 3 Sm 3.25
Sn: 0.6667 0.3333 0.4432  3 Sn 2.95, 1 Ag 3.22, 3 Sm 3.25

***

[3]
DFT (PBE-GGA) results for a geometry-optimized Sm2AgSn structure.

Output
VASP energy (eV/atom): -4.60
SG: Fm-3m, No. 225
Mass density (kg/m3): 8114
ΔH_f (0 K) (meV/atom): -528
Volume (Å³/cell): 431.6

Cell: 7.5575 7.5575 7.5575 Å, 90.00 90.00 90.00°
With the nearest neighbours (Å) after each atom.
Fractional positions:
Sm: 0.2500 0.2500 0.2500  4 Sn 3.27, 4 Ag 3.27
Sm: 0.2500 0.2500 0.7500  4 Ag 3.27, 4 Sn 3.27
Sm: 0.2500 0.7500 0.2500  4 Ag 3.27, 4 Sn 3.27
Sm: 0.2500 0.7500 0.7500  4 Sn 3.27, 4 Ag 3.27
Sm: 0.7500 0.2500 0.2500  4 Ag 3.27, 4 Sn 3.27
Sm: 0.7500 0.2500 0.7500  4 Sn 3.27, 4 Ag 3.27
Sm: 0.7500 0.7500 0.2500  4 Sn 3.27, 4 Ag 3.27
Sm: 0.7500 0.7500 0.7500  4 Ag 3.27, 4 Sn 3.27
Ag: 0.0000 0.0000 0.0000  8 Sm 3.27
Ag: 0.0000 0.5000 0.5000  8 Sm 3.27
Ag: 0.5000 0.0000 0.5000  8 Sm 3.27
Ag: 0.5000 0.5000 0.0000  8 Sm 3.27
Sn: 0.0000 0.0000 0.5000  8 Sm 3.27
Sn: 0.0000 0.5000 0.0000  8 Sm 3.27
Sn: 0.5000 0.0000 0.0000  8 Sm 3.27
Sn: 0.5000 0.5000 0.5000  8 Sm 3.27

***

[4]
DFT (PBE-GGA) results for a geometry-optimized Sm2TlAg structure.

Output
VASP energy (eV/atom): -3.99
SG: Fm-3m, No. 225
Mass density (kg/m3): 9248
ΔH_f (0 K) (meV/atom): -332
Volume (Å³/cell): 440.2

Cell: 7.6073 7.6073 7.6073 Å, 90.00 90.00 90.00°
With the nearest neighbours (Å) after each atom.
Fractional positions:
Sm: 0.2500 0.2500 0.2500  4 Tl 3.29, 4 Ag 3.29
Sm: 0.2500 0.2500 0.7500  4 Tl 3.29, 4 Ag 3.29
Sm: 0.2500 0.7500 0.2500  4 Tl 3.29, 4 Ag 3.29
Sm: 0.2500 0.7500 0.7500  4 Tl 3.29, 4 Ag 3.29
Sm: 0.7500 0.2500 0.2500  4 Tl 3.29, 4 Ag 3.29
Sm: 0.7500 0.2500 0.7500  4 Tl 3.29, 4 Ag 3.29
Sm: 0.7500 0.7500 0.2500  4 Tl 3.29, 4 Ag 3.29
Sm: 0.7500 0.7500 0.7500  4 Tl 3.29, 4 Ag 3.29
Tl: 0.0000 0.0000 0.0000  8 Sm 3.29
Tl: 0.0000 0.5000 0.5000  8 Sm 3.29
Tl: 0.5000 0.0000 0.5000  8 Sm 3.29
Tl: 0.5000 0.5000 0.0000  8 Sm 3.29
Ag: 0.0000 0.0000 0.5000  8 Sm 3.29
Ag: 0.0000 0.5000 0.0000  8 Sm 3.29
Ag: 0.5000 0.0000 0.0000  8 Sm 3.29
Ag: 0.5000 0.5000 0.5000  8 Sm 3.29

***

Please write out number 4 again, unchanged.
DFT (PBE-GGA) results for a geometry-optimized Sm2TlAg structure.

Output
VASP energy (eV/atom): -3.99
SG: Fm-3m, No. 225
Mass density (kg/m3): 9248
ΔH_f (0 K) (meV/atom): -332
Volume (Å³/cell): 440.2

Cell: 7.6073 7.6073 7.6073 Å, 90.00 90.00 90.00°
With the nearest neighbours (Å) after each atom.
Fractional positions:
Sm: 0.2500 0.2500 0.2500  4 Tl 3.29, 4 Ag 3.29
Sm: 0.2500 0.2500 0.7500  4 Tl 3.29, 4 Ag 3.29
Sm: 0.2500 0.7500 0.2500  4 Tl 3.29, 4 Ag 3.29
Sm: 0.2500 0.7500 0.7500  4 Tl 3.29, 4 Ag 3.29
Sm: 0.7500 0.2500 0.2500  4 Tl 3.29, 4 Ag 3.29
Sm: 0.7500 0.2500 0.7500  4 Tl 3.29, 4 Ag 3.29
Sm: 0.7500 0.7500 0.2500  4 Tl 3.29, 4 Ag 3.29
Sm: 0.7500 0.7500 0.7500  4 Tl 3.29, 4 Ag 3.29
Tl: 0.0000 0.0000 0.0000  8 Sm 3.29
Tl: 0.0000 0.5000 0.5000  8 Sm 3.29
Tl: 0.5000 0.0000 0.5000  8 Sm 3.29
Tl: 0.5000 0.5000 0.0000  8 Sm 3.29
Ag: 0.0000 0.0000 0.5000  8 Sm 3.29
Ag: 0.0000 0.5000 0.0000  8 Sm 3.29
Ag: 0.5000 0.0000 0.0000  8 Sm 3.29
Ag: 0.5000 0.5000 0.5000  8 Sm 3.29